This record from Materials Project describes a relaxed structure of SrCaSmFeO6. The functional is PBE with a Hubbard U.

```
SrCaSmFeO6
1.0
0.000 4.015 4.015
4.015 0.000 4.015
4.015 4.015 0.000
Sr Ca Sm Fe O
1 1 1 1 6
Direct
0.000 0.000 0.000 Sr
0.250 0.250 0.250 Ca
0.500 0.500 0.500 Sm
0.750 0.750 0.750 Fe
0.519 0.519 0.981 O
0.519 0.981 0.519 O
0.519 0.981 0.981 O
0.981 0.519 0.519 O
0.981 0.519 0.981 O
0.981 0.981 0.519 O
```

Output
Crystal system: cubic
ΔE_f in eV per atom: -2.5373
Total moment in μB per formula unit: 3.00
Energy relative to the lowest polymorph listed for this composition in meV/atom: 29
Symmetry: F-43m, No. 216


This record from Materials Project describes a relaxed structure of LiCo2C2O7. The functional is PBE with a Hubbard U.

```
LiCo2C2O7
1.0
7.123 -4.156 0.000
7.123 4.156 0.000
-0.167 0.000 7.884
Li Co C O
3 6 6 21
Direct
0.000 0.000 0.000 Li
0.350 0.291 0.999 Li
0.709 0.650 0.001 Li
0.011 0.313 0.761 Co
0.028 0.320 0.310 Co
0.350 0.645 0.774 Co
0.355 0.650 0.226 Co
0.680 0.972 0.690 Co
0.687 0.989 0.239 Co
0.009 0.652 0.206 C
0.011 0.648 0.792 C
0.348 0.991 0.794 C
0.352 0.989 0.208 C
0.685 0.312 0.789 C
0.688 0.315 0.211 C
0.086 0.730 0.715 O
0.109 0.480 0.850 O
0.172 0.567 0.273 O
0.177 0.063 0.849 O
0.264 0.170 0.188 O
0.270 0.914 0.285 O
0.323 0.677 0.000 O
0.432 0.089 0.807 O
0.433 0.828 0.727 O
0.520 0.891 0.150 O
0.525 0.391 0.714 O
0.589 0.243 0.147 O
0.609 0.475 0.286 O
0.664 0.002 0.474 O
0.757 0.411 0.853 O
0.780 0.132 0.801 O
0.830 0.736 0.812 O
0.868 0.220 0.199 O
0.911 0.568 0.193 O
0.937 0.823 0.151 O
0.998 0.336 0.526 O
```

Output
Crystal system: monoclinic
ΔE_f in eV per atom: -1.6468
Total moment in μB per formula unit: 7.00
Energy relative to the lowest polymorph listed for this composition in meV/atom: 43
Symmetry: C2, No. 5


This record from Materials Project describes a relaxed structure of Fe2P3O12. The functional is PBE with a Hubbard U.

```
Fe2P3O12
1.0
4.379 2.528 7.379
-4.379 2.528 7.379
0.000 -5.056 7.379
Fe P O
4 6 24
Direct
0.142 0.142 0.142 Fe
0.358 0.358 0.358 Fe
0.642 0.642 0.642 Fe
0.858 0.858 0.858 Fe
0.034 0.750 0.466 P
0.250 0.534 0.966 P
0.466 0.034 0.750 P
0.534 0.966 0.250 P
0.750 0.466 0.034 P
0.966 0.250 0.534 P
0.006 0.776 0.637 O
0.059 0.922 0.290 O
0.078 0.710 0.941 O
0.137 0.276 0.506 O
0.210 0.578 0.441 O
0.224 0.363 0.994 O
0.276 0.507 0.137 O
0.290 0.059 0.922 O
0.363 0.994 0.224 O
0.422 0.559 0.790 O
0.441 0.210 0.578 O
0.494 0.863 0.724 O
0.506 0.137 0.276 O
0.559 0.790 0.422 O
0.578 0.441 0.210 O
0.637 0.007 0.776 O
0.710 0.941 0.078 O
0.724 0.494 0.863 O
0.776 0.637 0.006 O
0.790 0.422 0.559 O
0.863 0.724 0.494 O
0.922 0.290 0.059 O
0.941 0.078 0.710 O
0.994 0.224 0.363 O
```

Output
Crystal system: trigonal
ΔE_f in eV per atom: -2.0878
Total moment in μB per formula unit: 7.01
Energy relative to the lowest polymorph listed for this composition in meV/atom: 0
Symmetry: R-3c, No. 167


This record from Materials Project describes a relaxed structure of LiV2P5O15. The functional is PBE with a Hubbard U.

```
LiV2P5O15
1.0
5.362 0.000 0.000
0.000 8.899 0.000
-4.835 0.000 12.734
Li V P O
2 4 10 30
Direct
0.000 0.006 0.000 Li
0.000 0.994 0.500 Li
0.814 0.305 0.511 V
0.814 0.695 0.011 V
0.955 0.305 0.899 V
0.955 0.695 0.399 V
0.208 0.185 0.370 P
0.208 0.815 0.870 P
0.349 0.489 0.313 P
0.349 0.511 0.813 P
0.425 0.487 0.099 P
0.425 0.513 0.599 P
0.563 0.180 0.043 P
0.563 0.820 0.543 P
0.891 0.038 0.706 P
0.891 0.962 0.206 P
0.006 0.172 0.423 O
0.006 0.828 0.923 O
0.128 0.080 0.267 O
0.128 0.920 0.767 O
0.148 0.484 0.015 O
0.148 0.516 0.515 O
0.165 0.350 0.320 O
0.165 0.650 0.820 O
0.184 0.374 0.804 O
0.184 0.626 0.304 O
0.271 0.151 0.983 O
0.271 0.849 0.483 O
0.386 0.447 0.206 O
0.386 0.553 0.706 O
0.495 0.157 0.434 O
0.495 0.843 0.934 O
0.596 0.378 0.609 O
0.596 0.622 0.109 O
0.603 0.346 0.092 O
0.603 0.654 0.592 O
0.626 0.485 0.397 O
0.626 0.515 0.897 O
0.643 0.076 0.145 O
0.643 0.924 0.645 O
0.759 0.170 0.987 O
0.759 0.830 0.487 O
0.810 0.126 0.782 O
0.810 0.874 0.282 O
0.976 0.111 0.623 O
0.976 0.889 0.123 O
```

Output
Crystal system: monoclinic
ΔE_f in eV per atom: -2.5880
Total moment in μB per formula unit: 6.00
Symmetry: Pc, No. 7


This record from Materials Project describes a relaxed structure of V2ZnO4. The functional is PBE with a Hubbard U.

```
V2ZnO4
1.0
1.476 -4.897 0.000
1.476 4.897 0.000
0.000 0.000 10.055
V Zn O
4 2 8
Direct
0.132 0.868 0.572 V
0.132 0.868 0.928 V
0.868 0.132 0.072 V
0.868 0.132 0.428 V
0.389 0.611 0.750 Zn
0.611 0.389 0.250 Zn
0.033 0.967 0.750 O
0.231 0.769 0.113 O
0.231 0.769 0.387 O
0.500 0.500 0.000 O
0.500 0.500 0.500 O
0.769 0.231 0.613 O
0.769 0.231 0.887 O
0.967 0.033 0.250 O
```

Output
Crystal system: orthorhombic
ΔE_f in eV per atom: -2.2020
Total moment in μB per formula unit: 4.00
Energy relative to the lowest polymorph listed for this composition in meV/atom: 139
Symmetry: Cmcm, No. 63


This record from Materials Project describes a relaxed structure of Li4Cr3NiO8. The functional is PBE with a Hubbard U.

```
Li4Cr3NiO8
1.0
5.122 0.000 0.000
1.707 5.660 0.000
2.542 2.310 10.080
Li Cr Ni O
8 6 2 16
Direct
0.001 0.441 0.375 Li
0.002 0.191 0.874 Li
0.004 0.683 0.875 Li
0.004 0.933 0.376 Li
0.996 0.067 0.624 Li
0.996 0.317 0.125 Li
0.998 0.809 0.126 Li
0.999 0.559 0.625 Li
0.499 0.875 0.750 Cr
0.500 0.000 0.000 Cr
0.500 0.252 0.501 Cr
0.500 0.500 0.000 Cr
0.500 0.748 0.499 Cr
0.501 0.125 0.250 Cr
0.500 0.375 0.750 Ni
0.500 0.625 0.250 Ni
0.271 0.589 0.438 O
0.272 0.209 0.685 O
0.272 0.839 0.937 O
0.273 0.459 0.184 O
0.273 0.721 0.684 O
0.274 0.337 0.937 O
0.274 0.971 0.183 O
0.275 0.088 0.434 O
0.725 0.912 0.566 O
0.726 0.029 0.817 O
0.726 0.663 0.063 O
0.727 0.279 0.316 O
0.727 0.541 0.816 O
0.728 0.161 0.063 O
0.728 0.791 0.315 O
0.729 0.411 0.562 O
```

Output
Crystal system: triclinic
ΔE_f in eV per atom: -2.1801
Total moment in μB per formula unit: 10.00
Energy relative to the lowest polymorph listed for this composition in meV/atom: 6
Symmetry: P-1, No. 2


This record from Materials Project describes a relaxed structure of LiCoPO4. The functional is PBE with a Hubbard U.

```
LiCoPO4
1.0
9.994 0.000 0.000
-4.997 8.655 0.000
0.000 0.000 22.713
Li Co P O
24 24 24 96
Direct
0.008 0.948 0.000 Li
0.024 0.481 0.168 Li
0.052 0.060 0.667 Li
0.060 0.008 0.833 Li
0.061 0.515 0.838 Li
0.062 0.562 0.498 Li
0.438 0.500 0.165 Li
0.454 0.939 0.171 Li
0.456 0.976 0.502 Li
0.481 0.456 0.335 Li
0.485 0.546 0.504 Li
0.500 0.062 0.332 Li
0.500 0.938 0.832 Li
0.515 0.454 0.004 Li
0.519 0.544 0.835 Li
0.544 0.024 0.002 Li
0.546 0.061 0.671 Li
0.562 0.500 0.665 Li
0.938 0.438 0.998 Li
0.939 0.485 0.338 Li
0.940 0.992 0.333 Li
0.948 0.940 0.167 Li
0.976 0.519 0.668 Li
0.992 0.052 0.500 Li
0.115 0.304 0.259 Co
0.147 0.834 0.261 Co
0.166 0.313 0.927 Co
0.177 0.789 0.957 Co
0.189 0.885 0.592 Co
0.211 0.387 0.624 Co
0.304 0.189 0.425 Co
0.313 0.147 0.094 Co
0.327 0.656 0.068 Co
0.330 0.673 0.401 Co
0.344 0.670 0.735 Co
0.387 0.177 0.791 Co
0.613 0.823 0.291 Co
0.656 0.330 0.235 Co
0.670 0.327 0.901 Co
0.673 0.344 0.568 Co
0.687 0.853 0.594 Co
0.696 0.811 0.925 Co
0.789 0.613 0.124 Co
0.811 0.115 0.092 Co
0.823 0.211 0.457 Co
0.834 0.687 0.427 Co
0.853 0.166 0.761 Co
0.885 0.696 0.759 Co
0.119 0.337 0.394 P
0.132 0.779 0.090 P
0.144 0.316 0.061 P
0.172 0.856 0.394 P
0.218 0.881 0.728 P
0.221 0.353 0.757 P
0.313 0.641 0.258 P
0.316 0.172 0.228 P
0.328 0.687 0.591 P
0.337 0.218 0.561 P
0.353 0.132 0.924 P
0.359 0.672 0.924 P
0.641 0.328 0.424 P
0.647 0.868 0.424 P
0.663 0.782 0.061 P
0.672 0.313 0.091 P
0.684 0.828 0.728 P
0.687 0.359 0.758 P
0.779 0.647 0.257 P
0.782 0.119 0.228 P
0.828 0.144 0.894 P
0.856 0.684 0.561 P
0.868 0.221 0.590 P
0.881 0.663 0.894 P
0.010 0.190 0.431 O
0.012 0.679 0.138 O
0.016 0.707 0.380 O
0.026 0.160 0.091 O
0.039 0.332 0.335 O
0.066 0.199 0.746 O
0.066 0.728 0.713 O
0.077 0.337 0.002 O
0.084 0.680 0.033 O
0.133 0.934 0.080 O
0.134 0.974 0.424 O
0.147 0.482 0.430 O
0.157 0.640 0.256 O
0.160 0.134 0.257 O
0.176 0.453 0.102 O
0.181 0.990 0.764 O
0.187 0.482 0.776 O
0.190 0.181 0.598 O
0.199 0.133 0.913 O
0.206 0.710 0.557 O
0.209 0.657 0.898 O
0.261 0.923 0.335 O
0.262 0.631 0.654 O
0.272 0.338 0.380 O
0.277 0.824 0.435 O
0.290 0.496 0.224 O
0.293 0.308 0.046 O
0.294 0.961 0.668 O
0.295 0.813 0.110 O
0.308 0.016 0.213 O
0.320 0.404 0.700 O
0.321 0.334 0.805 O
0.332 0.294 0.502 O
0.334 0.012 0.972 O
0.335 0.853 0.763 O
0.337 0.261 0.169 O
0.338 0.066 0.547 O
0.343 0.552 0.565 O
0.360 0.517 0.922 O
0.369 0.631 0.321 O
0.369 0.738 0.987 O
0.404 0.084 0.866 O
0.448 0.791 0.231 O
0.453 0.277 0.269 O
0.482 0.295 0.943 O
0.482 0.335 0.596 O
0.483 0.843 0.589 O
0.496 0.206 0.390 O
0.503 0.794 0.890 O
0.517 0.157 0.089 O
0.518 0.665 0.096 O
0.518 0.705 0.443 O
0.547 0.723 0.769 O
0.552 0.209 0.731 O
0.596 0.916 0.366 O
0.631 0.262 0.487 O
0.631 0.369 0.821 O
0.640 0.483 0.422 O
0.657 0.448 0.065 O
0.662 0.934 0.047 O
0.663 0.739 0.669 O
0.665 0.147 0.263 O
0.666 0.988 0.472 O
0.668 0.706 0.002 O
0.679 0.666 0.305 O
0.680 0.596 0.200 O
0.692 0.984 0.713 O
0.705 0.187 0.610 O
0.706 0.039 0.168 O
0.707 0.692 0.546 O
0.710 0.503 0.724 O
0.723 0.176 0.935 O
0.728 0.662 0.880 O
0.738 0.369 0.154 O
0.739 0.077 0.835 O
0.791 0.343 0.398 O
0.794 0.290 0.057 O
0.801 0.867 0.413 O
0.810 0.819 0.098 O
0.813 0.518 0.276 O
0.819 0.010 0.264 O
0.824 0.547 0.602 O
0.840 0.866 0.757 O
0.843 0.360 0.756 O
0.853 0.518 0.930 O
0.866 0.026 0.924 O
0.867 0.066 0.580 O
0.916 0.320 0.533 O
0.923 0.663 0.502 O
0.934 0.272 0.213 O
0.934 0.801 0.246 O
0.961 0.668 0.835 O
0.974 0.840 0.591 O
0.984 0.293 0.880 O
0.988 0.321 0.638 O
0.990 0.810 0.931 O
```

Output
Crystal system: hexagonal
ΔE_f in eV per atom: -2.2767
Total moment in μB per formula unit: 3.00
Energy relative to the lowest polymorph listed for this composition in meV/atom: 131
Symmetry: P6_5, No. 170


This record from Materials Project describes a relaxed structure of Mn2O3F. The functional is PBE with a Hubbard U.

```
Mn2O3F
1.0
9.054 0.000 0.000
0.000 3.165 3.316
0.000 -3.165 3.316
Mn O F
6 9 3
Direct
0.000 0.000 0.000 Mn
0.167 0.525 0.525 Mn
0.333 0.044 0.044 Mn
0.500 0.512 0.512 Mn
0.667 0.044 0.044 Mn
0.833 0.525 0.525 Mn
0.000 0.712 0.712 O
0.167 0.212 0.829 O
0.167 0.829 0.212 O
0.332 0.334 0.334 O
0.500 0.231 0.841 O
0.500 0.841 0.231 O
0.668 0.334 0.334 O
0.833 0.212 0.829 O
0.833 0.829 0.212 O
0.000 0.304 0.304 F
0.343 0.734 0.734 F
0.657 0.734 0.734 F
```

Output
Crystal system: orthorhombic
ΔE_f in eV per atom: -2.0353
Total moment in μB per formula unit: 7.00
Energy relative to the lowest polymorph listed for this composition in meV/atom: 6
Symmetry: Amm2, No. 38


One value per record, in order, for mass density: 5.5, 2.8, 2.7, 2.8, 5.3, 4.2, 3.3, 4.6 g/cm3.
One value per record, in order, for raw total energy: -6.56, -6.74, -6.78, -7.27, -6.93, -6.43, -6.54, -6.91 eV per atom.